(1)
Computed, not measured: a relaxed structure of Na2AgAsBr6 at the PBE-GGA level of DFT.

Properties
- total energy after the MP2020 corrections (eV/atom) = -3.0613
- uncorrected energy (eV/atom) = -2.7409
- calculated formation energy (eV/atom) = -1.0655
- magnetic moment (μB/cell) = 0.0
- crystal system = cubic

Geometry as CIF:
```
data_Na2AgAsBr6
_chemical_formula_sum 'Na8 Ag4 As4 Br24'
_symmetry_space_group_name_H-M 'F m -3 m'
_symmetry_Int_Tables_number 225
_symmetry_space_group_name_Hall '-F 4 2 3'
_cell_length_a 10.8693
_cell_length_b 10.8693
_cell_length_c 10.8693
_cell_angle_alpha 90.00
_cell_angle_beta 90.00
_cell_angle_gamma 90.00
loop_
_atom_site_label
_atom_site_type_symbol
_atom_site_fract_x
_atom_site_fract_y
_atom_site_fract_z
Na1 Na 0.2500 0.2500 0.2500
Ag1 Ag 0.0000 0.0000 0.0000
As1 As 0.0000 0.0000 0.5000
Br1 Br 0.0000 0.0000 0.2556
```

(2)
Computed, not measured: a relaxed structure of Rb2AgAsBr6 at the PBE-GGA level of DFT.

Properties
- total energy after the MP2020 corrections (eV/atom) = -3.2192
- uncorrected energy (eV/atom) = -2.8988
- calculated formation energy (eV/atom) = -1.2917
- magnetic moment (μB/cell) = 0.0
- crystal system = cubic

Geometry as CIF:
```
data_Rb2AgAsBr6
_chemical_formula_sum 'Rb8 Ag4 As4 Br24'
_symmetry_space_group_name_H-M 'F m -3 m'
_symmetry_Int_Tables_number 225
_symmetry_space_group_name_Hall '-F 4 2 3'
_cell_length_a 11.0222
_cell_length_b 11.0222
_cell_length_c 11.0222
_cell_angle_alpha 90.00
_cell_angle_beta 90.00
_cell_angle_gamma 90.00
loop_
_atom_site_label
_atom_site_type_symbol
_atom_site_fract_x
_atom_site_fract_y
_atom_site_fract_z
Rb1 Rb 0.2500 0.2500 0.2500
Ag1 Ag 0.0000 0.0000 0.0000
As1 As 0.0000 0.0000 0.5000
Br1 Br 0.0000 0.0000 0.2568
```

(3)
Computed, not measured: a relaxed structure of CaAgAs at the PBE-GGA level of DFT.

Properties
- uncorrected energy (eV/atom) = -3.9549
- calculated formation energy (eV/atom) = -0.7891
- crystal system = hexagonal

Geometry as CIF:
```
data_CaAgAs
_chemical_formula_sum 'Ca3 Ag3 As3'
_symmetry_space_group_name_H-M 'P -6 2 m'
_symmetry_Int_Tables_number 189
_symmetry_space_group_name_Hall 'P -6 -2'
_cell_length_a 7.2663
_cell_length_b 7.2663
_cell_length_c 4.3127
_cell_angle_alpha 90.00
_cell_angle_beta 90.00
_cell_angle_gamma 120.00
loop_
_atom_site_label
_atom_site_type_symbol
_atom_site_fract_x
_atom_site_fract_y
_atom_site_fract_z
Ca1 Ca 0.0000 0.4126 0.0000
Ag1 Ag 0.0000 0.7493 0.5000
As1 As 0.0000 0.0000 0.0000
As2 As 0.3333 0.6667 0.5000
```

(4)
Computed, not measured: a relaxed structure of CaAgAsO5 at the PBE-GGA level of DFT.

Properties
- total energy after the MP2020 corrections (eV/atom) = -6.0457
- uncorrected energy (eV/atom) = -5.6163
- calculated formation energy (eV/atom) = -1.7660
- magnetic moment (μB/cell) = 0.0
- crystal system = orthorhombic

Geometry as CIF:
```
data_CaAgAsO5
_chemical_formula_sum 'Ca4 Ag4 As4 O20'
_symmetry_space_group_name_H-M 'P 21 21 21'
_symmetry_Int_Tables_number 19
_cell_length_a 6.0196
_cell_length_b 7.6087
_cell_length_c 9.8629
_cell_angle_alpha 90.00
_cell_angle_beta 90.00
_cell_angle_gamma 90.00
loop_
_symmetry_equiv_pos_as_xyz
'x,y,z'
'-x+1/2,-y,z+1/2'
'x+1/2,-y+1/2,-z'
'-x,y+1/2,-z+1/2'
loop_
_atom_site_label
_atom_site_type_symbol
_atom_site_fract_x
_atom_site_fract_y
_atom_site_fract_z
Ca1 Ca 0.0053 0.1771 0.1664
Ag1 Ag 0.2474 0.7505 0.0003
As1 As 0.0286 0.6070 0.6664
O1 O 0.0010 0.4437 0.5321
O2 O 0.0036 0.1264 0.4044
O3 O 0.1118 0.7775 0.5661
O4 O 0.2257 0.1203 0.7578
O5 O 0.2466 0.5637 0.7721
```